Material: TmCuPbS3
Method: DFT, PBE-GGA
State: optimized geometry

Values from the calculation:
Space group: Cmc2_1
DFT total energy, eV/atom: -5.22
Size of the total moment, μB/f.u.: 0.00
Formation enthalpy at 0 K, eV per atom: -1.351

Structure (CIF):
```
data_TmCuPbS3
_chemical_formula_sum 'Tm2 Cu2 Pb2 S6'
_symmetry_space_group_name_H-M 'P 1'
_symmetry_Int_Tables_number 1
_cell_length_a 6.854
_cell_length_b 6.854
_cell_length_c 10.139
_cell_angle_alpha 90.00
_cell_angle_beta 90.00
_cell_angle_gamma 146.76
loop_
_symmetry_equiv_pos_as_xyz
'x,y,z'
loop_
_atom_site_label
_atom_site_type_symbol
_atom_site_fract_x
_atom_site_fract_y
_atom_site_fract_z
Tm1 Tm 0.003 0.997 0.500
Tm2 Tm 0.997 0.003 0.000
Cu1 Cu 0.467 0.533 0.250
Cu2 Cu 0.533 0.467 0.750
Pb1 Pb 0.251 0.749 0.778
Pb2 Pb 0.749 0.251 0.278
S1 S 0.073 0.927 0.248
S2 S 0.364 0.636 0.062
S3 S 0.365 0.635 0.437
S4 S 0.635 0.365 0.937
S5 S 0.636 0.364 0.562
S6 S 0.927 0.073 0.748
```



Material: TlCu3PbSe4
Method: DFT, PBE-GGA
State: optimized geometry

Values from the calculation:
Space group: P-43m
DFT total energy, eV/atom: -3.57
Size of the total moment, μB/f.u.: 0.00
Formation enthalpy at 0 K, eV per atom: -0.185

Structure (CIF):
```
data_TlCu3PbSe4
_chemical_formula_sum 'Tl1 Cu3 Pb1 Se4'
_symmetry_space_group_name_H-M 'P 1'
_symmetry_Int_Tables_number 1
_cell_length_a 6.233
_cell_length_b 6.233
_cell_length_c 6.233
_cell_angle_alpha 90.00
_cell_angle_beta 90.00
_cell_angle_gamma 90.00
loop_
_symmetry_equiv_pos_as_xyz
'x,y,z'
loop_
_atom_site_label
_atom_site_type_symbol
_atom_site_fract_x
_atom_site_fract_y
_atom_site_fract_z
Tl1 Tl 0.000 0.000 0.000
Cu1 Cu 0.000 0.000 0.500
Cu2 Cu 0.000 0.500 0.000
Cu3 Cu 0.500 0.000 0.000
Pb1 Pb 0.500 0.500 0.500
Se1 Se 0.245 0.245 0.245
Se2 Se 0.245 0.755 0.755
Se3 Se 0.755 0.245 0.755
Se4 Se 0.755 0.755 0.245
```



Material: TmCuPbSe3
Method: DFT, PBE-GGA
State: optimized geometry

Values from the calculation:
Space group: Cmc2_1
Largest piezoelectric modulus, C/m²: 1.2
DFT total energy, eV/atom: -4.79
Size of the total moment, μB/f.u.: 0.00
Formation enthalpy at 0 K, eV per atom: -1.228

Structure (CIF):
```
data_TmCuPbSe3
_chemical_formula_sum 'Tm2 Cu2 Pb2 Se6'
_symmetry_space_group_name_H-M 'P 1'
_symmetry_Int_Tables_number 1
_cell_length_a 7.092
_cell_length_b 7.092
_cell_length_c 10.548
_cell_angle_alpha 90.00
_cell_angle_beta 90.00
_cell_angle_gamma 146.84
loop_
_symmetry_equiv_pos_as_xyz
'x,y,z'
loop_
_atom_site_label
_atom_site_type_symbol
_atom_site_fract_x
_atom_site_fract_y
_atom_site_fract_z
Tm1 Tm 0.001 0.999 0.500
Tm2 Tm 0.999 0.001 0.000
Cu1 Cu 0.466 0.534 0.752
Cu2 Cu 0.534 0.466 0.252
Pb1 Pb 0.243 0.757 0.241
Pb2 Pb 0.757 0.243 0.741
Se1 Se 0.076 0.924 0.750
Se2 Se 0.358 0.642 0.941
Se3 Se 0.359 0.641 0.566
Se4 Se 0.641 0.359 0.066
Se5 Se 0.642 0.358 0.441
Se6 Se 0.924 0.076 0.250
```



Material: TmCuPbSe3
Method: DFT, PBE-GGA
State: optimized geometry

Values from the calculation:
Space group: Pnma
DFT total energy, eV/atom: -4.79
Size of the total moment, μB/f.u.: 0.00
Formation enthalpy at 0 K, eV per atom: -1.230

Structure (CIF):
```
data_TmCuPbSe3
_chemical_formula_sum 'Tm4 Cu4 Pb4 Se12'
_symmetry_space_group_name_H-M 'P 1'
_symmetry_Int_Tables_number 1
_cell_length_a 10.539
_cell_length_b 4.048
_cell_length_c 13.655
_cell_angle_alpha 90.00
_cell_angle_beta 90.00
_cell_angle_gamma 90.00
loop_
_symmetry_equiv_pos_as_xyz
'x,y,z'
loop_
_atom_site_label
_atom_site_type_symbol
_atom_site_fract_x
_atom_site_fract_y
_atom_site_fract_z
Tm1 Tm 0.007 0.250 0.244
Tm2 Tm 0.493 0.750 0.744
Tm3 Tm 0.507 0.250 0.256
Tm4 Tm 0.993 0.750 0.756
Cu1 Cu 0.248 0.250 0.720
Cu2 Cu 0.252 0.750 0.220
Cu3 Cu 0.748 0.250 0.780
Cu4 Cu 0.752 0.750 0.280
Pb1 Pb 0.231 0.750 0.505
Pb2 Pb 0.269 0.250 0.005
Pb3 Pb 0.731 0.750 0.995
Pb4 Pb 0.769 0.250 0.495
Se1 Se 0.055 0.250 0.614
Se2 Se 0.070 0.750 0.109
Se3 Se 0.245 0.750 0.828
Se4 Se 0.255 0.250 0.328
Se5 Se 0.430 0.250 0.609
Se6 Se 0.445 0.750 0.114
Se7 Se 0.555 0.250 0.886
Se8 Se 0.570 0.750 0.391
Se9 Se 0.745 0.750 0.672
Se10 Se 0.755 0.250 0.172
Se11 Se 0.930 0.250 0.891
Se12 Se 0.945 0.750 0.386
```



Material: YCu3PbSe4
Method: DFT, PBE-GGA
State: optimized geometry

Values from the calculation:
Space group: P-43m
DFT total energy, eV/atom: -4.50
Size of the total moment, μB/f.u.: 0.00
Formation enthalpy at 0 K, eV per atom: -0.662

Structure (CIF):
```
data_YCu3PbSe4
_chemical_formula_sum 'Y1 Cu3 Pb1 Se4'
_symmetry_space_group_name_H-M 'P 1'
_symmetry_Int_Tables_number 1
_cell_length_a 6.282
_cell_length_b 6.282
_cell_length_c 6.282
_cell_angle_alpha 90.00
_cell_angle_beta 90.00
_cell_angle_gamma 90.00
loop_
_symmetry_equiv_pos_as_xyz
'x,y,z'
loop_
_atom_site_label
_atom_site_type_symbol
_atom_site_fract_x
_atom_site_fract_y
_atom_site_fract_z
Y1 Y 0.000 0.000 0.000
Cu1 Cu 0.000 0.000 0.500
Cu2 Cu 0.000 0.500 0.000
Cu3 Cu 0.500 0.000 0.000
Pb1 Pb 0.500 0.500 0.500
Se1 Se 0.239 0.239 0.239
Se2 Se 0.239 0.761 0.761
Se3 Se 0.761 0.239 0.761
Se4 Se 0.761 0.761 0.239
```



Material: SmCuPb
Method: DFT, PBE-GGA
State: optimized geometry

Values from the calculation:
Space group: P6_3/mmc
DFT total energy, eV/atom: -4.54
Size of the total moment, μB/f.u.: 0.00
Formation enthalpy at 0 K, eV per atom: -0.365

Structure (CIF):
```
data_SmCuPb
_chemical_formula_sum 'Sm2 Cu2 Pb2'
_symmetry_space_group_name_H-M 'P 1'
_symmetry_Int_Tables_number 1
_cell_length_a 4.619
_cell_length_b 4.619
_cell_length_c 7.713
_cell_angle_alpha 90.00
_cell_angle_beta 90.00
_cell_angle_gamma 120.00
loop_
_symmetry_equiv_pos_as_xyz
'x,y,z'
loop_
_atom_site_label
_atom_site_type_symbol
_atom_site_fract_x
_atom_site_fract_y
_atom_site_fract_z
Sm1 Sm 0.000 0.000 0.000
Sm2 Sm 0.000 0.000 0.500
Cu1 Cu 0.333 0.667 0.250
Cu2 Cu 0.667 0.333 0.750
Pb1 Pb 0.333 0.667 0.750
Pb2 Pb 0.667 0.333 0.250
```



Material: SmCuPb
Method: DFT, PBE-GGA
State: optimized geometry

Values from the calculation:
Space group: P6_3mc
DFT total energy, eV/atom: -4.58
Formation enthalpy at 0 K, eV per atom: -0.405

Structure (CIF):
```
data_SmCuPb
_chemical_formula_sum 'Sm2 Cu2 Pb2'
_symmetry_space_group_name_H-M 'P 1'
_symmetry_Int_Tables_number 1
_cell_length_a 4.669
_cell_length_b 4.669
_cell_length_c 7.535
_cell_angle_alpha 90.00
_cell_angle_beta 90.00
_cell_angle_gamma 120.00
loop_
_symmetry_equiv_pos_as_xyz
'x,y,z'
loop_
_atom_site_label
_atom_site_type_symbol
_atom_site_fract_x
_atom_site_fract_y
_atom_site_fract_z
Sm1 Sm 0.000 0.000 0.000
Sm2 Sm 0.000 0.000 0.500
Cu1 Cu 0.333 0.667 0.180
Cu2 Cu 0.667 0.333 0.680
Pb1 Pb 0.333 0.667 0.769
Pb2 Pb 0.667 0.333 0.269
```



Material: TbCuPb
Method: DFT, PBE-GGA
State: optimized geometry

Values from the calculation:
Space group: P6_3mc
DFT total energy, eV/atom: -4.55
Formation enthalpy at 0 K, eV per atom: -0.397

Structure (CIF):
```
data_TbCuPb
_chemical_formula_sum 'Tb2 Cu2 Pb2'
_symmetry_space_group_name_H-M 'P 1'
_symmetry_Int_Tables_number 1
_cell_length_a 4.620
_cell_length_b 4.620
_cell_length_c 7.435
_cell_angle_alpha 90.00
_cell_angle_beta 90.00
_cell_angle_gamma 120.00
loop_
_symmetry_equiv_pos_as_xyz
'x,y,z'
loop_
_atom_site_label
_atom_site_type_symbol
_atom_site_fract_x
_atom_site_fract_y
_atom_site_fract_z
Tb1 Tb 0.000 0.000 0.000
Tb2 Tb 0.000 0.000 0.500
Cu1 Cu 0.333 0.667 0.175
Cu2 Cu 0.667 0.333 0.675
Pb1 Pb 0.333 0.667 0.770
Pb2 Pb 0.667 0.333 0.270
```



Material: TmCuPb
Method: DFT, PBE-GGA
State: optimized geometry

Values from the calculation:
Space group: P6_3mc
DFT total energy, eV/atom: -4.45
Formation enthalpy at 0 K, eV per atom: -0.357

Structure (CIF):
```
data_TmCuPb
_chemical_formula_sum 'Tm2 Cu2 Pb2'
_symmetry_space_group_name_H-M 'P 1'
_symmetry_Int_Tables_number 1
_cell_length_a 4.607
_cell_length_b 4.607
_cell_length_c 7.324
_cell_angle_alpha 90.00
_cell_angle_beta 90.00
_cell_angle_gamma 120.00
loop_
_symmetry_equiv_pos_as_xyz
'x,y,z'
loop_
_atom_site_label
_atom_site_type_symbol
_atom_site_fract_x
_atom_site_fract_y
_atom_site_fract_z
Tm1 Tm 0.000 0.000 0.000
Tm2 Tm 0.000 0.000 0.500
Cu1 Cu 0.333 0.667 0.174
Cu2 Cu 0.667 0.333 0.674
Pb1 Pb 0.333 0.667 0.772
Pb2 Pb 0.667 0.333 0.272
```



Material: Y5CuPb3
Method: DFT, PBE-GGA
State: optimized geometry

Values from the calculation:
Space group: P6_3/mcm
DFT total energy, eV/atom: -5.79
Size of the total moment, μB/f.u.: 0.01
Formation enthalpy at 0 K, eV per atom: -0.505

Structure (CIF):
```
data_Y5CuPb3
_chemical_formula_sum 'Y10 Cu2 Pb6'
_symmetry_space_group_name_H-M 'P 1'
_symmetry_Int_Tables_number 1
_cell_length_a 8.950
_cell_length_b 8.950
_cell_length_c 6.778
_cell_angle_alpha 90.00
_cell_angle_beta 90.00
_cell_angle_gamma 120.00
loop_
_symmetry_equiv_pos_as_xyz
'x,y,z'
loop_
_atom_site_label
_atom_site_type_symbol
_atom_site_fract_x
_atom_site_fract_y
_atom_site_fract_z
Y1 Y 0.000 0.252 0.250
Y2 Y 0.000 0.748 0.750
Y3 Y 0.252 0.000 0.250
Y4 Y 0.252 0.252 0.750
Y5 Y 0.333 0.667 0.000
Y6 Y 0.333 0.667 0.500
Y7 Y 0.667 0.333 0.000
Y8 Y 0.667 0.333 0.500
Y9 Y 0.748 0.000 0.750
Y10 Y 0.748 0.748 0.250
Cu1 Cu 0.000 0.000 0.000
Cu2 Cu 0.000 0.000 0.500
Pb1 Pb 0.000 0.391 0.750
Pb2 Pb 0.000 0.609 0.250
Pb3 Pb 0.391 0.000 0.750
Pb4 Pb 0.391 0.391 0.250
Pb5 Pb 0.609 0.000 0.250
Pb6 Pb 0.609 0.609 0.750
```



Material: Y4Cu19Pb
Method: DFT, PBE-GGA
State: optimized geometry

Values from the calculation:
Space group: R3m
DFT total energy, eV/atom: -4.62
Size of the total moment, μB/f.u.: 0.12
Formation enthalpy at 0 K, eV per atom: -0.146

Structure (CIF):
```
data_Y4Cu19Pb
_chemical_formula_sum 'Y4 Cu19 Pb1'
_symmetry_space_group_name_H-M 'P 1'
_symmetry_Int_Tables_number 1
_cell_length_a 16.513
_cell_length_b 16.513
_cell_length_c 16.513
_cell_angle_alpha 17.62
_cell_angle_beta 17.62
_cell_angle_gamma 17.62
loop_
_symmetry_equiv_pos_as_xyz
'x,y,z'
loop_
_atom_site_label
_atom_site_type_symbol
_atom_site_fract_x
_atom_site_fract_y
_atom_site_fract_z
Y1 Y 0.000 0.000 0.000
Y2 Y 0.242 0.242 0.242
Y3 Y 0.495 0.495 0.495
Y4 Y 0.747 0.747 0.747
Cu1 Cu 0.023 0.023 0.532
Cu2 Cu 0.023 0.532 0.023
Cu3 Cu 0.029 0.530 0.530
Cu4 Cu 0.059 0.059 0.059
Cu5 Cu 0.151 0.151 0.151
Cu6 Cu 0.276 0.276 0.782
Cu7 Cu 0.276 0.782 0.276
Cu8 Cu 0.278 0.774 0.774
Cu9 Cu 0.403 0.403 0.403
Cu10 Cu 0.530 0.029 0.530
Cu11 Cu 0.530 0.530 0.029
Cu12 Cu 0.532 0.023 0.023
Cu13 Cu 0.559 0.559 0.559
Cu14 Cu 0.653 0.653 0.653
Cu15 Cu 0.774 0.278 0.774
Cu16 Cu 0.774 0.774 0.278
Cu17 Cu 0.782 0.276 0.276
Cu18 Cu 0.809 0.809 0.809
Cu19 Cu 0.900 0.900 0.900
Pb1 Pb 0.308 0.308 0.308
```



Material: Zr5CuPb3
Method: DFT, PBE-GGA
State: optimized geometry

Values from the calculation:
Space group: P6_3/mcm
DFT total energy, eV/atom: -6.73
Formation enthalpy at 0 K, eV per atom: -0.288

Structure (CIF):
```
data_Zr5CuPb3
_chemical_formula_sum 'Zr10 Cu2 Pb6'
_symmetry_space_group_name_H-M 'P 1'
_symmetry_Int_Tables_number 1
_cell_length_a 8.803
_cell_length_b 8.803
_cell_length_c 5.943
_cell_angle_alpha 90.00
_cell_angle_beta 90.00
_cell_angle_gamma 120.00
loop_
_symmetry_equiv_pos_as_xyz
'x,y,z'
loop_
_atom_site_label
_atom_site_type_symbol
_atom_site_fract_x
_atom_site_fract_y
_atom_site_fract_z
Zr1 Zr 0.000 0.259 0.250
Zr2 Zr 0.000 0.741 0.750
Zr3 Zr 0.259 0.000 0.250
Zr4 Zr 0.259 0.259 0.750
Zr5 Zr 0.333 0.667 0.000
Zr6 Zr 0.333 0.667 0.500
Zr7 Zr 0.667 0.333 0.000
Zr8 Zr 0.667 0.333 0.500
Zr9 Zr 0.741 0.000 0.750
Zr10 Zr 0.741 0.741 0.250
Cu1 Cu 0.000 0.000 0.000
Cu2 Cu 0.000 0.000 0.500
Pb1 Pb 0.000 0.387 0.750
Pb2 Pb 0.000 0.613 0.250
Pb3 Pb 0.387 0.000 0.750
Pb4 Pb 0.387 0.387 0.250
Pb5 Pb 0.613 0.000 0.250
Pb6 Pb 0.613 0.613 0.750
```